(1)
A geometry-optimized Mg7W structure. Source: the Materials Project database, functional PBE.

Space group: P-6m2, No. 187
E_tot in eV per atom: -2.731
DFT formation energy in meV per atom: 289
Magnetization in μB per formula unit: 0.0

a b c (Å): 6.2018 6.2018 4.9437
angles (deg): 90.00 90.00 120.00
With the nearest neighbours (Å) after each atom.
Element x y z (fractional)
Mg1 0.6690 0.8345 0.5000  10 Mg 3.06-3.12, 2 W 3.10
Mg2 0.1655 0.3310 0.5000  10 Mg 3.06-3.12, 2 W 3.10
Mg3 0.1655 0.8345 0.5000  10 Mg 3.06-3.12, 2 W 3.10
Mg4 0.8229 0.1771 0.0000  8 Mg 2.91-3.10, 2 W 2.99
Mg5 0.3333 0.6667 0.0000  12 Mg 3.06-3.10
Mg6 0.8229 0.6458 0.0000  8 Mg 2.91-3.10, 2 W 2.99
Mg7 0.3542 0.1771 0.0000  8 Mg 2.91-3.10, 2 W 2.99
W1 0.6667 0.3333 0.5000  12 Mg 2.99-3.10



(2)
A geometry-optimized Mg6ZrW structure. Source: the Materials Project database, functional PBE.

Energy above the most stable polymorph in this dataset in kcal/mol of atoms: 0.000
E_tot in eV per atom: -3.658
DFT formation energy in meV per atom: 230
Magnetization in μB per formula unit: 0.0

a b c (Å): 4.9420 6.0791 11.1485
angles (deg): 90.00 90.00 90.00
With the nearest neighbours (Å) after each atom.
Element x y z (fractional)
Mg1 0.5000 0.2532 0.4277  8 Mg 2.94-3.21, 1 W 2.96, 2 Zr 3.22
Mg2 0.5000 0.0000 0.1753  10 Mg 3.00-3.21, 2 W 3.05
Mg3 0.5000 0.7468 0.4277  8 Mg 2.94-3.21, 1 W 2.96, 2 Zr 3.22
Mg4 0.0000 0.7437 0.0708  8 Mg 2.94-3.27, 1 Zr 2.96, 2 W 3.21
Mg5 0.0000 0.7563 0.5708  8 Mg 2.94-3.27, 1 Zr 2.96, 2 W 3.21
Mg6 0.5000 0.2468 0.9277  8 Mg 2.94-3.21, 1 W 2.96, 2 Zr 3.22
Mg7 0.0000 0.2563 0.0708  8 Mg 2.94-3.27, 1 Zr 2.96, 2 W 3.21
Mg8 0.0000 0.0000 0.3286  10 Mg 3.00-3.27, 2 Zr 3.06
Mg9 0.5000 0.5000 0.6753  10 Mg 3.00-3.21, 2 W 3.05
Mg10 0.5000 0.7532 0.9277  8 Mg 2.94-3.21, 1 W 2.96, 2 Zr 3.22
Mg11 0.0000 0.5000 0.8286  10 Mg 3.00-3.27, 2 Zr 3.06
Mg12 0.0000 0.2437 0.5708  8 Mg 2.94-3.27, 1 Zr 2.96, 2 W 3.21
Zr1 0.0000 0.5000 0.3005  2 W 2.72, 2 Mg 2.96
Zr2 0.0000 0.0000 0.8005  2 W 2.72, 2 Mg 2.96
W1 0.5000 0.0000 0.6984  2 Zr 2.72, 2 Mg 2.96
W2 0.5000 0.5000 0.1984  2 Zr 2.72, 2 Mg 2.96



(3)
A geometry-optimized Mg6ZrW structure. Source: the Materials Project database, functional PBE.

Energy above the most stable polymorph in this dataset in kcal/mol of atoms: 1.388
E_tot in eV per atom: -3.598
DFT formation energy in meV per atom: 291
Magnetization in μB per formula unit: 0.0

a b c (Å): 5.0448 5.7938 11.3428
angles (deg): 90.00 90.00 90.00
With the nearest neighbours (Å) after each atom.
Element x y z (fractional)
Mg1 0.0000 0.7422 0.0837  6 Mg 2.81-3.12, 2 W 3.05, 2 Zr 3.11
Mg2 0.0000 0.2422 0.5837  6 Mg 2.81-3.12, 2 W 3.05, 2 Zr 3.11
Mg3 0.0000 0.7578 0.5837  6 Mg 2.81-3.12, 2 W 3.05, 2 Zr 3.11
Mg4 0.5000 0.2498 0.4250  8 Mg 2.89-3.18, 2 W 3.15-3.22, 2 Zr 3.18-3.19
Mg5 0.0000 0.5000 0.3111  8 Mg 2.90-3.18, 2 W 2.98
Mg6 0.5000 0.7498 0.9250  8 Mg 2.89-3.18, 2 W 3.15-3.22, 2 Zr 3.18-3.19
Mg7 0.0000 0.5000 0.8256  10 Mg 2.90-3.25, 2 Zr 3.05
Mg8 0.0000 0.2578 0.0837  6 Mg 2.81-3.12, 2 W 3.05, 2 Zr 3.11
Mg9 0.0000 0.0000 0.3256  10 Mg 2.90-3.25, 2 Zr 3.05
Mg10 0.0000 0.0000 0.8111  8 Mg 2.90-3.18, 2 W 2.98
Mg11 0.5000 0.7502 0.4250  8 Mg 2.89-3.18, 2 W 3.15-3.22, 2 Zr 3.18-3.19
Mg12 0.5000 0.2502 0.9250  8 Mg 2.89-3.18, 2 W 3.15-3.22, 2 Zr 3.18-3.19
W1 0.5000 0.0000 0.6715  2 Zr 2.90, 10 Mg 2.98-3.22
W2 0.5000 0.5000 0.1715  2 Zr 2.90, 10 Mg 2.98-3.22
Zr1 0.5000 0.0000 0.1744  2 W 2.90, 10 Mg 3.05-3.19
Zr2 0.5000 0.5000 0.6744  2 W 2.90, 10 Mg 3.05-3.19



(4)
A geometry-optimized Y2Mg structure. Source: the Materials Project database, functional PBE.

Space group: Cm, No. 8
E_tot in eV per atom: -4.817
DFT formation energy in meV per atom: 27
Magnetization in μB per formula unit: 0.1

a b c (Å): 6.5862 6.5862 8.2848
angles (deg): 74.69 74.69 31.01
With the nearest neighbours (Å) after each atom.
Element x y z (fractional)
Mg1 0.6087 0.6087 0.2854  8 Y 3.34-3.65, 4 Mg 3.36-3.52
Mg2 0.9420 0.9420 0.5985  4 Mg 3.36-3.52, 7 Y 3.39-3.49
Y1 0.6580 0.6580 0.6688  4 Mg 3.40-3.49, 8 Y 3.45-3.56
Y2 0.2909 0.2909 0.9311  4 Mg 3.39-3.65, 8 Y 3.43-3.56
Y3 0.3230 0.3230 0.3340  5 Mg 3.36-3.54, 7 Y 3.46-3.52
Y4 0.0107 0.0107 0.0155  2 Mg 3.34, 9 Y 3.43-3.53



(5)
A geometry-optimized Y2Mg structure. Source: the Materials Project database, functional PBE.

Space group: Cmcm, No. 63
E_tot in eV per atom: -4.896
DFT formation energy in meV per atom: -51
Magnetization in μB per formula unit: 0.3

a b c (Å): 6.9169 6.9169 5.2358
angles (deg): 90.00 90.00 135.51
With the nearest neighbours (Å) after each atom.
Element x y z (fractional)
Y1 0.5972 0.9097 0.2500  4 Mg 3.27-3.32, 4 Y 3.55
Y2 0.9097 0.5972 0.2500  4 Mg 3.27-3.32, 4 Y 3.55
Y3 0.4028 0.0903 0.7500  4 Mg 3.27-3.32, 4 Y 3.55
Y4 0.0903 0.4028 0.7500  4 Mg 3.27-3.32, 4 Y 3.55
Mg1 0.7407 0.7407 0.7500  8 Y 3.27-3.32, 2 Mg 3.63
Mg2 0.2593 0.2593 0.2500  8 Y 3.27-3.32, 2 Mg 3.63



(6)
A geometry-optimized Y2Mg structure. Source: the Materials Project database, functional PBE.

Space group: Cmcm, No. 63
E_tot in eV per atom: -4.911
DFT formation energy in meV per atom: -67

a b c (Å): 8.8311 8.8311 5.4956
angles (deg): 90.00 90.00 155.80
With the nearest neighbours (Å) after each atom.
Element x y z (fractional)
Mg1 0.9338 0.0662 0.7500  8 Y 3.29-3.34, 2 Mg 3.57
Mg2 0.0662 0.9338 0.2500  8 Y 3.29-3.34, 2 Mg 3.57
Y1 0.5916 0.4084 0.7500  6 Mg 3.29-3.34, 4 Y 3.60-3.65
Y2 0.2739 0.7261 0.7500  2 Mg 3.32, 10 Y 3.41-3.70
Y3 0.4084 0.5916 0.2500  6 Mg 3.29-3.34, 4 Y 3.60-3.65
Y4 0.7261 0.2739 0.2500  2 Mg 3.32, 10 Y 3.41-3.70



(7)
A geometry-optimized Y2Mg structure. Source: the Materials Project database, functional PBE.

Space group: C2/c, No. 15
E_tot in eV per atom: -4.832
DFT formation energy in meV per atom: 12
Magnetization in μB per formula unit: 0.0

a b c (Å): 6.0157 6.0157 6.6726
angles (deg): 61.95 61.95 60.23
With the nearest neighbours (Å) after each atom.
Element x y z (fractional)
Y1 0.2369 0.4239 0.7451  5 Mg 3.39-3.55, 7 Y 3.43-3.57
Y2 0.5761 0.7631 0.7549  5 Mg 3.39-3.55, 7 Y 3.43-3.57
Y3 0.4239 0.2369 0.2451  5 Mg 3.39-3.55, 7 Y 3.43-3.57
Y4 0.7631 0.5761 0.2549  5 Mg 3.39-3.55, 7 Y 3.43-3.57
Mg1 0.9158 0.0842 0.7500  10 Y 3.39-3.55, 2 Mg 3.49
Mg2 0.0842 0.9158 0.2500  10 Y 3.39-3.55, 2 Mg 3.49